Record 1
This record from Materials Project describes a relaxed Mg5Sc crystal. The functional is r2SCAN.

a b c (Å): 5.5720 5.5720 5.1059
angles (deg): 90.00 90.00 120.00
Element x y z (fractional)
Mg: 0.0000 0.6575 0.0000
Mg: 0.3333 0.6667 0.5000
Mg: 0.3425 0.3425 0.0000
Mg: 0.6575 0.0000 0.0000
Mg: 0.6667 0.3333 0.5000
Sc: 0.0000 0.0000 0.5000

Computed properties:
energy of formation = 0.029 eV/atom

***

Record 2
This record from Materials Project describes a relaxed MgSc5 crystal. The functional is r2SCAN.

a b c (Å): 5.3144 8.6309 8.6309
angles (deg): 21.92 90.00 90.00
Element x y z (fractional)
Mg: 0.0000 0.0000 0.0000
Sc: 0.0000 0.3348 0.3348
Sc: 0.0000 0.6689 0.6689
Sc: 0.5000 0.2244 0.2244
Sc: 0.5000 0.5550 0.5550
Sc: 0.5000 0.8891 0.8891

Computed properties:
energy of formation = 0.025 eV/atom

***

Record 3
This record from Materials Project describes a relaxed MgSc3 crystal. The functional is r2SCAN.

a b c (Å): 3.2807 3.2807 10.6451
angles (deg): 90.00 90.00 120.00
Element x y z (fractional)
Mg: 0.0000 0.0000 0.0000
Sc: 0.0000 0.0000 0.5000
Sc: 0.3333 0.6667 0.2537
Sc: 0.3333 0.6667 0.7463

Computed properties:
energy of formation = 0.049 eV/atom

***

Record 4
This record from Materials Project describes a relaxed Mg2Sc crystal. The functional is r2SCAN.

a b c (Å): 6.1286 6.1286 7.6601
angles (deg): 104.17 104.17 30.21
Element x y z (fractional)
Mg: 0.0280 0.0280 0.3060
Mg: 0.3057 0.3057 0.3594
Mg: 0.6943 0.6943 0.6406
Mg: 0.9720 0.9720 0.6940
Sc: 0.3617 0.3617 0.9726
Sc: 0.6383 0.6383 0.0274

Computed properties:
energy of formation = -0.008 eV/atom

***

Record 5
This record from Materials Project describes a relaxed MgSc2Se4 crystal. The functional is r2SCAN.

a b c (Å): 7.9071 7.9071 7.9071
angles (deg): 60.00 60.00 60.00
Element x y z (fractional)
Mg: 0.1250 0.1250 0.1250
Mg: 0.8750 0.8750 0.8750
Sc: 0.0000 0.5000 0.5000
Sc: 0.5000 0.0000 0.5000
Sc: 0.5000 0.5000 0.0000
Sc: 0.5000 0.5000 0.5000
Se: 0.2573 0.2573 0.2573
Se: 0.2573 0.2573 0.7280
Se: 0.2573 0.7280 0.2573
Se: 0.2720 0.7427 0.7427
Se: 0.7280 0.2573 0.2573
Se: 0.7427 0.2720 0.7427
Se: 0.7427 0.7427 0.2720
Se: 0.7427 0.7427 0.7427

Computed properties:
energy of formation = -1.829 eV/atom

***

Record 6
This record from Materials Project describes a relaxed MgSc2Se4 crystal. The functional is r2SCAN.

a b c (Å): 7.5981 7.5981 7.5981
angles (deg): 105.63 105.63 117.47
Element x y z (fractional)
Mg: 0.0000 0.0000 0.0000
Mg: 0.7500 0.2500 0.5000
Sc: 0.1412 0.6250 0.0162
Sc: 0.3750 0.3912 0.5162
Sc: 0.6088 0.1250 0.9838
Sc: 0.8750 0.8588 0.4838
Se: 0.0625 0.3743 0.2132
Se: 0.1243 0.3125 0.7132
Se: 0.1507 0.9375 0.3118
Se: 0.1611 0.8493 0.7868
Se: 0.5889 0.8757 0.1882
Se: 0.5993 0.4111 0.2868
Se: 0.6257 0.8389 0.6882
Se: 0.6875 0.4007 0.8118

Computed properties:
energy of formation = -1.754 eV/atom

***

Record 7
This record from Materials Project describes a relaxed TmMg2Sc crystal. The functional is r2SCAN.

a b c (Å): 5.1916 5.1916 5.1916
angles (deg): 60.00 60.00 60.00
Element x y z (fractional)
Tm: 0.0000 0.0000 0.0000
Mg: 0.2500 0.2500 0.2500
Mg: 0.7500 0.7500 0.7500
Sc: 0.5000 0.5000 0.5000

Computed properties:
energy of formation = -0.047 eV/atom

***

Record 8
This record from Materials Project describes a relaxed Mg3ScZn8 crystal. The functional is r2SCAN.

a b c (Å): 5.1557 5.1557 8.4361
angles (deg): 90.00 90.00 120.00
Element x y z (fractional)
Mg: 0.0000 0.0000 0.0000
Mg: 0.0000 0.0000 0.3750
Mg: 0.3333 0.6667 0.8711
Sc: 0.3333 0.6667 0.4969
Zn: 0.0075 0.5038 0.1887
Zn: 0.3282 0.1641 0.6886
Zn: 0.4962 0.5038 0.1887
Zn: 0.4962 0.9925 0.1887
Zn: 0.6667 0.3333 0.4388
Zn: 0.6667 0.3333 0.9435
Zn: 0.8359 0.1641 0.6886
Zn: 0.8359 0.6718 0.6886

Computed properties:
energy of formation = -0.223 eV/atom

***

Record 9
This record from Materials Project describes a relaxed MgSe2 crystal. The functional is r2SCAN.

a b c (Å): 6.4600 6.4600 6.4600
angles (deg): 90.00 90.00 90.00
Element x y z (fractional)
Mg: 0.0000 0.0000 0.0000
Mg: 0.0000 0.5000 0.5000
Mg: 0.5000 0.0000 0.5000
Mg: 0.5000 0.5000 0.0000
Se: 0.1062 0.6062 0.8938
Se: 0.1062 0.8938 0.3938
Se: 0.3938 0.1062 0.8938
Se: 0.3938 0.3938 0.3938
Se: 0.6062 0.6062 0.6062
Se: 0.6062 0.8938 0.1062
Se: 0.8938 0.1062 0.6062
Se: 0.8938 0.3938 0.1062

Computed properties:
energy of formation = -0.992 eV/atom

***

Record 10
This record from Materials Project describes a relaxed MgSe crystal. The functional is r2SCAN.

a b c (Å): 3.8661 3.8661 3.8661
angles (deg): 60.00 60.00 60.00
Element x y z (fractional)
Mg: 0.0000 0.0000 0.0000
Se: 0.5000 0.5000 0.5000

Computed properties:
energy of formation = -1.459 eV/atom

***

Record 11
This record from Materials Project describes a relaxed MgSe crystal. The functional is r2SCAN.

a b c (Å): 4.1987 4.1987 4.1987
angles (deg): 60.00 60.00 60.00
Element x y z (fractional)
Mg: 0.0000 0.0000 0.0000
Se: 0.2500 0.2500 0.2500

Computed properties:
energy of formation = -1.463 eV/atom

***

Record 12
This record from Materials Project describes a relaxed MgSe crystal. The functional is r2SCAN.

a b c (Å): 4.2215 4.2215 6.8167
angles (deg): 90.00 90.00 120.00
Element x y z (fractional)
Mg: 0.3333 0.6667 0.0000
Mg: 0.6667 0.3333 0.5000
Se: 0.3333 0.6667 0.3784
Se: 0.6667 0.3333 0.8784

Computed properties:
energy of formation = -1.469 eV/atom

***

Record 13
This record from Materials Project describes a relaxed Mg4Te3Se crystal. The functional is r2SCAN.

a b c (Å): 4.4874 4.4874 12.6380
angles (deg): 90.00 90.00 90.00
Element x y z (fractional)
Mg: 0.0000 0.5000 0.1079
Mg: 0.0000 0.5000 0.6307
Mg: 0.5000 0.0000 0.3693
Mg: 0.5000 0.0000 0.8921
Te: 0.0000 0.0000 0.2384
Te: 0.0000 0.0000 0.7616
Te: 0.5000 0.5000 0.5000
Se: 0.5000 0.5000 0.0000

Computed properties:
energy of formation = -1.142 eV/atom

***

Record 14
This record from Materials Project describes a relaxed Mg4Si7 crystal. The functional is r2SCAN.

a b c (Å): 4.2209 7.0049 14.2154
angles (deg): 88.41 82.71 87.36
Element x y z (fractional)
Mg: 0.0000 0.0000 0.0000
Mg: 0.0017 0.7353 0.8196
Mg: 0.0723 0.2679 0.7697
Mg: 0.1121 0.9093 0.6042
Mg: 0.1529 0.4091 0.5344
Mg: 0.5858 0.5878 0.6739
Mg: 0.6960 0.4267 0.3573
Mg: 0.7105 0.8737 0.2666
Si: 0.1986 0.5870 0.2444
Si: 0.2074 0.0839 0.3890
Si: 0.2084 0.7275 0.3969
Si: 0.2371 0.6272 0.9789
Si: 0.2862 0.2451 0.2385
Si: 0.4667 0.7472 0.1089
Si: 0.5222 0.4542 0.8548
Si: 0.5260 0.1190 0.8873
Si: 0.5473 0.9625 0.7390
Si: 0.6297 0.2133 0.6234
Si: 0.6689 0.0771 0.4716
Si: 0.6807 0.7221 0.4917
Si: 0.8286 0.2007 0.1541
Si: 0.8885 0.5221 0.1059

Computed properties:
energy of formation = 0.174 eV/atom

***

Record 15
This record from Materials Project describes a relaxed SrMgSi crystal. The functional is r2SCAN.

a b c (Å): 7.8195 4.5955 8.4637
angles (deg): 90.00 90.00 90.00
Element x y z (fractional)
Sr: 0.0146 0.2500 0.1842
Sr: 0.4854 0.7500 0.6842
Sr: 0.5146 0.2500 0.3158
Sr: 0.9854 0.7500 0.8158
Mg: 0.1435 0.2500 0.5640
Mg: 0.3565 0.7500 0.0640
Mg: 0.6435 0.2500 0.9360
Mg: 0.8565 0.7500 0.4360
Si: 0.2174 0.7500 0.3913
Si: 0.2826 0.2500 0.8913
Si: 0.7174 0.7500 0.1087
Si: 0.7826 0.2500 0.6087

Computed properties:
energy of formation = -0.445 eV/atom

***

Record 16
This record from Materials Project describes a relaxed SrMgSi2 crystal. The functional is r2SCAN.

a b c (Å): 14.3767 4.4606 11.3703
angles (deg): 90.00 90.00 90.00
Element x y z (fractional)
Sr: 0.0620 0.2500 0.2393
Sr: 0.1948 0.7500 0.9778
Sr: 0.3052 0.2500 0.4778
Sr: 0.4380 0.7500 0.7393
Sr: 0.5620 0.2500 0.2607
Sr: 0.6948 0.7500 0.5222
Sr: 0.8052 0.2500 0.0222
Sr: 0.9380 0.7500 0.7607
Mg: 0.0595 0.2500 0.5596
Mg: 0.1894 0.7500 0.6803
Mg: 0.3106 0.2500 0.1803
Mg: 0.4405 0.7500 0.0596
Mg: 0.5595 0.2500 0.9404
Mg: 0.6894 0.7500 0.8197
Mg: 0.8106 0.2500 0.3197
Mg: 0.9405 0.7500 0.4404
Si: 0.0288 0.2500 0.9706
Si: 0.1070 0.2500 0.7896
Si: 0.1322 0.7500 0.4531
Si: 0.2234 0.7500 0.2758
Si: 0.2766 0.2500 0.7758
Si: 0.3678 0.2500 0.9531
Si: 0.3930 0.7500 0.2896
Si: 0.4712 0.7500 0.4706
Si: 0.5288 0.2500 0.5294
Si: 0.6070 0.2500 0.7104
Si: 0.6322 0.7500 0.0469
Si: 0.7234 0.7500 0.2242
Si: 0.7766 0.2500 0.7242
Si: 0.8678 0.2500 0.5469
Si: 0.8930 0.7500 0.2104
Si: 0.9712 0.7500 0.0294

Computed properties:
energy of formation = -0.392 eV/atom

***

Record 17
This record from Materials Project describes a relaxed Tb2MgSi2 crystal. The functional is r2SCAN.

a b c (Å): 7.1945 7.1945 4.2224
angles (deg): 90.00 90.00 90.00
Element x y z (fractional)
Tb: 0.1787 0.3213 0.0000
Tb: 0.3213 0.8213 0.0000
Tb: 0.6787 0.1787 0.0000
Tb: 0.8213 0.6787 0.0000
Mg: 0.0000 0.0000 0.5000
Mg: 0.5000 0.5000 0.5000
Si: 0.1170 0.6170 0.5000
Si: 0.3830 0.1170 0.5000
Si: 0.6170 0.8830 0.5000
Si: 0.8830 0.3830 0.5000

Computed properties:
energy of formation = -0.789 eV/atom

***

Record 18
This record from Materials Project describes a relaxed Tm2MgSi2 crystal. The functional is r2SCAN.

a b c (Å): 7.0731 7.0731 4.1388
angles (deg): 90.00 90.00 90.00
Element x y z (fractional)
Tm: 0.1781 0.3219 0.0000
Tm: 0.3219 0.8219 0.0000
Tm: 0.6781 0.1781 0.0000
Tm: 0.8219 0.6781 0.0000
Mg: 0.0000 0.0000 0.5000
Mg: 0.5000 0.5000 0.5000
Si: 0.1186 0.6186 0.5000
Si: 0.3814 0.1186 0.5000
Si: 0.6186 0.8814 0.5000
Si: 0.8814 0.3814 0.5000

Computed properties:
energy of formation = -0.763 eV/atom

***

Record 19
This record from Materials Project describes a relaxed Y2MgSi2 crystal. The functional is r2SCAN.

a b c (Å): 7.1871 7.1871 4.2115
angles (deg): 90.00 90.00 90.00
Element x y z (fractional)
Y: 0.1786 0.3214 0.0000
Y: 0.3214 0.8214 0.0000
Y: 0.6786 0.1786 0.0000
Y: 0.8214 0.6786 0.0000
Mg: 0.0000 0.0000 0.5000
Mg: 0.5000 0.5000 0.5000
Si: 0.1173 0.6173 0.5000
Si: 0.3827 0.1173 0.5000
Si: 0.6173 0.8827 0.5000
Si: 0.8827 0.3827 0.5000

Computed properties:
energy of formation = -0.786 eV/atom

***

Record 20
This record from Materials Project describes a relaxed Yb2MgSi2 crystal. The functional is r2SCAN.

a b c (Å): 7.0447 7.0447 4.1234
angles (deg): 90.00 90.00 90.00
Element x y z (fractional)
Yb: 0.1779 0.3221 0.0000
Yb: 0.3221 0.8221 0.0000
Yb: 0.6779 0.1779 0.0000
Yb: 0.8221 0.6779 0.0000
Mg: 0.0000 0.0000 0.5000
Mg: 0.5000 0.5000 0.5000
Si: 0.1189 0.6189 0.5000
Si: 0.3811 0.1189 0.5000
Si: 0.6189 0.8811 0.5000
Si: 0.8811 0.3811 0.5000

Computed properties:
energy of formation = -0.758 eV/atom